Entry from the Materials Project database: crystalline LiMnP3O9 at its relaxed geometry (GGA+U).

a b c (Å): 9.5510 9.6038 9.8581
angles (deg): 108.70 104.49 109.88
Closest atoms and distances in Å follow each position.
Fractional positions:
1 O 0.5980 0.3835 0.3509  1 P 1.50
2 O 0.7155 0.6826 0.5688  1 P 1.50
3 O 0.1126 0.9024 0.8036  1 P 1.49
4 O 0.3930 0.7011 0.1431  2 P 1.60-1.62
5 O 0.2845 0.3174 0.4312  1 P 1.50
6 O 0.2024 0.9309 0.2962  1 P 1.55
7 O 0.9535 0.2693 0.9977  1 P 1.47
8 O 0.8317 0.6267 0.3655  2 P 1.59-1.61
9 O 0.8647 0.2566 0.5051  1 P 1.51
10 O 0.2730 0.5218 0.2644  1 P 1.47
11 O 0.1353 0.7434 0.4949  1 P 1.51
12 O 0.4923 0.8240 0.4408  1 P 1.57
13 O 0.4329 0.3876 0.7146  2 P 1.60-1.63
14 O 0.7976 0.0691 0.7038  1 P 1.55
15 O 0.9598 0.4317 0.3170  1 P 1.48
16 O 0.2209 0.1383 0.0827  1 P 1.51
17 O 0.7270 0.4782 0.7356  1 P 1.47
18 O 0.4020 0.6165 0.6491  1 P 1.50
19 O 0.4575 0.9853 0.7460  1 P 1.54
20 O 0.3764 0.8279 0.9558  1 P 1.47
21 O 0.0402 0.5683 0.6830  1 P 1.48
22 O 0.0465 0.7307 0.0023  1 P 1.47
23 O 0.8874 0.0976 0.1964  1 P 1.49
24 O 0.5077 0.1760 0.5592  1 P 1.57
25 O 0.3634 0.1766 0.9012  2 P 1.60-1.62
26 O 0.9914 0.6337 0.2019  2 P 1.61
27 O 0.7791 0.8617 0.9173  1 P 1.51
28 O 0.6070 0.2989 0.8569  2 P 1.60-1.62
29 O 0.6366 0.8234 0.0988  2 P 1.60-1.62
30 O 0.5425 0.0147 0.2540  1 P 1.54
31 O 0.5671 0.6124 0.2854  2 P 1.60-1.63
32 O 0.1026 0.1693 0.8364  2 P 1.60-1.61
33 O 0.6236 0.1721 0.0442  1 P 1.47
34 O 0.0086 0.3663 0.7981  2 P 1.61
35 O 0.8974 0.8307 0.1636  2 P 1.60-1.61
36 O 0.1683 0.3733 0.6345  2 P 1.59-1.61
37 P 0.4829 0.8532 0.1071  4 O 1.47-1.62
38 P 0.4213 0.6588 0.2885  4 O 1.47-1.60
39 P 0.9559 0.2138 0.8415  4 O 1.47-1.61
40 P 0.0441 0.7862 0.1585  4 O 1.47-1.61
41 P 0.5171 0.1468 0.8929  4 O 1.47-1.62
42 P 0.8067 0.9180 0.0875  4 O 1.49-1.62
43 P 0.6753 0.5672 0.4038  4 O 1.50-1.63
44 P 0.3247 0.4328 0.5962  4 O 1.50-1.63
45 P 0.1933 0.0820 0.9125  4 O 1.49-1.62
46 P 0.5787 0.3412 0.7115  4 O 1.47-1.60
47 P 0.0128 0.3968 0.6480  4 O 1.48-1.61
48 P 0.9872 0.6032 0.3520  4 O 1.48-1.61
49 Li 0.7701 0.2278 0.2527  3 O 1.93-1.99
50 Li 0.9320 0.6874 0.7903  4 O 1.93-2.13
51 Li 0.0680 0.3126 0.2097  4 O 1.93-2.13
52 Li 0.2299 0.7722 0.7473  3 O 1.93-1.99
53 Mn 0.3281 0.9285 0.5070  5 O 2.02-2.25
54 Mn 0.6719 0.0715 0.4930  5 O 2.02-2.25
55 Mn 0.3742 0.1765 0.2974  3 O 2.08-2.16
56 Mn 0.6258 0.8235 0.7026  3 O 2.08-2.16

Calculated values
Polymorph energy (0 for the lowest one) (eV per atom): 0.041
Energy of formation from the pure elements (eV/atom): -2.594
MP2020-corrected energy (eV/atom): -7.725
Raw total energy (eV for the cell shown): -401.20
Magnetization (μB per atom): 0.36



Entry from the Materials Project database: crystalline NbFeNiO4F2 at its relaxed geometry (GGA+U).

a b c (Å): 3.1702 7.4227 17.8669
angles (deg): 130.43 90.00 90.00
Closest atoms and distances in Å follow each position.
Fractional positions:
1 Fe 0.0000 0.0046 0.3302  2 O 1.81-1.84
2 Fe 0.0000 0.0500 0.6900  3 O 1.92-2.09, 1 F 2.05
3 O 0.0000 0.7388 0.5428  2 Nb 2.05, 1 Fe 2.09
4 O 0.5000 0.1774 0.9918  1 Nb 1.85
5 O 0.5000 0.8159 0.6744  1 Nb 1.86
6 O 0.0000 0.6910 0.2238  1 Fe 1.81
7 O 0.0000 0.3211 0.4395  1 Fe 1.84
8 O 0.0000 0.2745 0.1293  2 Nb 2.03, 1 Ni 2.10
9 O 0.5000 0.2042 0.6953  2 Fe 1.92, 1 Ni 2.00
10 O 0.5000 0.7940 0.9705  3 Ni 1.93-1.94
11 Nb 0.5000 0.5606 0.5403  3 O 1.86-2.05, 1 F 1.91
12 Nb 0.5000 0.4384 0.1245  3 O 1.85-2.03, 1 F 1.93
13 F 0.5000 0.3487 0.5666  1 Nb 1.91
14 F 0.0000 0.6698 0.8312  3 Ni 2.08-2.09
15 F 0.5000 0.6394 0.0914  1 Nb 1.93
16 F 0.0000 0.3128 0.8397  1 Fe 2.05, 2 Ni 2.12
17 Ni 0.5000 0.4974 0.8367  2 O 1.93-2.00, 4 F 2.08-2.12
18 Ni 0.0000 0.9615 0.9820  3 O 1.94-2.10, 1 F 2.09

Calculated values
Polymorph energy (0 for the lowest one) (eV per atom): 0.358
Energy of formation from the pure elements (eV/atom): -2.029
MP2020-corrected energy (eV/atom): -7.360
Raw total energy (eV for the cell shown): -115.53
Magnetization (μB per atom): 0.78



Entry from the Materials Project database: crystalline Er3Fe5O12 at its relaxed geometry (GGA+U).

a b c (Å): 10.8066 10.8066 10.8066
angles (deg): 109.47 109.47 109.47
Closest atoms and distances in Å follow each position.
Fractional positions:
1 O 0.8737 0.4068 0.0836  2 Fe 1.89-2.05
2 O 0.0332 0.3232 0.9068  2 Fe 1.89-2.05
3 O 0.7099 0.5332 0.6263  2 Fe 1.89-2.05
4 O 0.4164 0.0932 0.6263  2 Fe 1.89-2.05
5 O 0.1263 0.0332 0.2099  2 Fe 1.89-2.05
6 O 0.0332 0.2099 0.1263  2 Fe 1.89-2.05
7 O 0.4068 0.0836 0.8737  2 Fe 1.89-2.05
8 O 0.4668 0.3737 0.2901  2 Fe 1.89-2.05
9 O 0.5932 0.9164 0.1263  2 Fe 1.89-2.05
10 O 0.7901 0.4164 0.8232  2 Fe 1.89-2.05
11 O 0.2099 0.1263 0.0332  2 Fe 1.89-2.05
12 O 0.8737 0.9668 0.7901  2 Fe 1.89-2.05
13 O 0.3232 0.9068 0.0332  2 Fe 1.89-2.05
14 O 0.3737 0.2901 0.4668  2 Fe 1.89-2.05
15 O 0.8232 0.5332 0.4068  2 Fe 1.89-2.05
16 O 0.1768 0.2099 0.5836  2 Fe 1.89-2.05
17 O 0.0836 0.7099 0.6768  2 Fe 1.89-2.05
18 O 0.6263 0.4164 0.0932  2 Fe 1.89-2.05
19 O 0.9668 0.7901 0.8737  2 Fe 1.89-2.05
20 O 0.4164 0.8232 0.7901  2 Fe 1.89-2.05
21 O 0.7099 0.6768 0.0836  2 Fe 1.89-2.05
22 O 0.3232 0.9164 0.2901  2 Fe 1.89-2.05
23 O 0.5332 0.4068 0.8232  2 Fe 1.89-2.05
24 O 0.6768 0.0836 0.7099  2 Fe 1.89-2.05
25 O 0.1768 0.4668 0.5932  2 Fe 1.89-2.05
26 O 0.0932 0.6263 0.4164  2 Fe 1.89-2.05
27 O 0.6768 0.0932 0.9668  2 Fe 1.89-2.05
28 O 0.3737 0.5836 0.9068  2 Fe 1.89-2.05
29 O 0.9668 0.6768 0.0932  2 Fe 1.89-2.05
30 O 0.4668 0.5932 0.1768  2 Fe 1.89-2.05
31 O 0.2901 0.3232 0.9164  2 Fe 1.89-2.05
32 O 0.2099 0.5836 0.1768  2 Fe 1.89-2.05
33 O 0.5836 0.9068 0.3737  2 Fe 1.89-2.05
34 O 0.9164 0.1263 0.5932  2 Fe 1.89-2.05
35 O 0.5836 0.1768 0.2099  2 Fe 1.89-2.05
36 O 0.7901 0.8737 0.9668  2 Fe 1.89-2.05
37 O 0.9068 0.3737 0.5836  2 Fe 1.89-2.05
38 O 0.9068 0.0332 0.3232  2 Fe 1.89-2.05
39 O 0.4068 0.8232 0.5332  2 Fe 1.89-2.05
40 O 0.6263 0.7099 0.5332  2 Fe 1.89-2.05
41 O 0.5932 0.1768 0.4668  2 Fe 1.89-2.05
42 O 0.2901 0.4668 0.3737  2 Fe 1.89-2.05
43 O 0.8232 0.7901 0.4164  2 Fe 1.89-2.05
44 O 0.9164 0.2901 0.3232  2 Fe 1.89-2.05
45 O 0.5332 0.6263 0.7099  2 Fe 1.89-2.05
46 O 0.1263 0.5932 0.9164  2 Fe 1.89-2.05
47 O 0.0932 0.9668 0.6768  2 Fe 1.89-2.05
48 O 0.0836 0.8737 0.4068  2 Fe 1.89-2.05
49 Fe 0.1250 0.8750 0.2500  4 O 1.89
50 Fe 0.7500 0.3750 0.6250  4 O 1.89
51 Fe 0.8750 0.1250 0.7500  4 O 1.89
52 Fe 0.5000 0.0000 0.0000  6 O 2.05
53 Fe 0.5000 0.5000 0.5000  6 O 2.05
54 Fe 0.0000 0.0000 0.0000  6 O 2.05
55 Fe 0.7500 0.8750 0.1250  4 O 1.89
56 Fe 0.6250 0.3750 0.2500  4 O 1.89
57 Fe 0.1250 0.7500 0.8750  4 O 1.89
58 Fe 0.6250 0.7500 0.3750  4 O 1.89
59 Fe 0.8750 0.2500 0.1250  4 O 1.89
60 Fe 0.3750 0.2500 0.6250  4 O 1.89
61 Fe 0.0000 0.5000 0.5000  6 O 2.05
62 Fe 0.5000 0.0000 0.5000  6 O 2.05
63 Fe 0.2500 0.1250 0.8750  4 O 1.89
64 Fe 0.2500 0.6250 0.3750  4 O 1.89
65 Fe 0.0000 0.5000 0.0000  6 O 2.05
66 Fe 0.5000 0.5000 0.0000  6 O 2.05
67 Fe 0.0000 0.0000 0.5000  6 O 2.05
68 Fe 0.3750 0.6250 0.7500  4 O 1.89
69 Er 0.6250 0.2500 0.8750  8 O 2.36-2.43
70 Er 0.8750 0.7500 0.6250  8 O 2.36-2.43
71 Er 0.8750 0.6250 0.2500  8 O 2.36-2.43
72 Er 0.7500 0.6250 0.8750  8 O 2.36-2.43
73 Er 0.2500 0.3750 0.1250  8 O 2.36-2.43
74 Er 0.1250 0.2500 0.3750  8 O 2.36-2.43
75 Er 0.6250 0.8750 0.7500  8 O 2.36-2.43
76 Er 0.2500 0.8750 0.6250  8 O 2.36-2.43
77 Er 0.7500 0.1250 0.3750  8 O 2.36-2.43
78 Er 0.3750 0.7500 0.1250  8 O 2.36-2.43
79 Er 0.1250 0.3750 0.7500  8 O 2.36-2.43
80 Er 0.3750 0.1250 0.2500  8 O 2.36-2.43

Calculated values
Energy of formation from the pure elements (eV/atom): -2.553
MP2020-corrected energy (eV/atom): -8.324
Raw total energy (eV for the cell shown): -587.86
Magnetization (μB per atom): 1.25



Entry from the Materials Project database: crystalline Li2Fe2P4H3O16 at its relaxed geometry (GGA+U).

a b c (Å): 4.9443 7.5673 8.1576
angles (deg): 90.45 91.14 103.69
Closest atoms and distances in Å follow each position.
Fractional positions:
1 Fe 0.4980 0.9990 0.5017  6 O 1.96-2.11
2 Fe 0.0023 0.5004 0.0001  6 O 2.00-2.05
3 H 0.5500 0.5147 0.3813  1 O 0.98
4 H 0.4525 0.4797 0.6049  1 O 0.98
5 H 0.9567 0.9788 0.9858  1 O 1.03
6 O 0.4496 0.1869 0.3309  1 P 1.54
7 O 0.7402 0.5650 0.4235  1 H 0.98
8 O 0.1299 0.8433 0.4452  1 P 1.51
9 O 0.3324 0.1389 0.6839  1 P 1.55
10 O 0.2520 0.0589 0.0562  1 H 1.54, 1 P 1.55
11 O 0.6632 0.8632 0.3161  1 P 1.55
12 O 0.8649 0.1584 0.5555  1 P 1.52
13 O 0.9890 0.7004 0.1685  1 P 1.55
14 O 0.7532 0.9410 0.9435  1 H 1.03
15 O 0.3689 0.6689 0.9436  1 P 1.55
16 O 0.0044 0.3002 0.8318  1 P 1.55
17 O 0.6340 0.3353 0.0601  1 P 1.56
18 O 0.1791 0.3681 0.1674  1 P 1.54
19 O 0.5469 0.8158 0.6722  1 P 1.52
20 O 0.2533 0.4373 0.5777  1 H 0.98
21 O 0.8254 0.6322 0.8318  1 P 1.53
22 P 0.8848 0.7505 0.3366  4 O 1.51-1.60
23 P 0.6249 0.7572 0.8414  4 O 1.52-1.60
24 P 0.1105 0.2517 0.6638  4 O 1.52-1.59
25 P 0.3727 0.2362 0.1558  4 O 1.54-1.56
26 Li 0.5987 0.1532 0.8738  4 O 2.00-2.09
27 Li 0.3887 0.8468 0.1288  4 O 1.97-2.06

Calculated values
Polymorph energy (0 for the lowest one) (eV per atom): 0.016
Energy of formation from the pure elements (eV/atom): -2.210
MP2020-corrected energy (eV/atom): -7.090
Raw total energy (eV for the cell shown): -175.92
Magnetization (μB per atom): 0.38



Entry from the Materials Project database: crystalline BaMg14NiO16 at its relaxed geometry (GGA+U).

a b c (Å): 8.7325 8.7325 4.4932
angles (deg): 90.00 90.00 90.00
Closest atoms and distances in Å follow each position.
Fractional positions:
1 Mg 0.5000 0.0000 0.0000  2 O 1.91
2 Mg 0.0000 0.7544 0.5000  6 O 2.14-2.25
3 Mg 0.5000 0.7654 0.5000  5 O 2.05-2.25
4 Mg 0.7544 0.0000 0.5000  6 O 2.14-2.25
5 Mg 0.2346 0.5000 0.5000  5 O 2.05-2.25
6 Mg 0.0000 0.2456 0.5000  6 O 2.14-2.25
7 Mg 0.5000 0.2346 0.5000  5 O 2.05-2.25
8 Mg 0.7597 0.2403 0.0000  6 O 2.10-2.28
9 Mg 0.2403 0.2403 0.0000  6 O 2.10-2.28
10 Mg 0.2403 0.7597 0.0000  6 O 2.10-2.28
11 Mg 0.7654 0.5000 0.5000  5 O 2.05-2.25
12 Mg 0.7597 0.7597 0.0000  6 O 2.10-2.28
13 Mg 0.2456 0.0000 0.5000  6 O 2.14-2.25
14 Mg 0.0000 0.5000 0.0000  2 O 1.91
15 O 0.0000 0.5000 0.5000  6 Mg 2.05-2.25
16 O 0.7517 0.7517 0.5000  6 Mg 2.17-2.25
17 O 0.7571 0.0000 0.0000  5 Mg 2.10-2.25, 1 Ni 2.12
18 O 0.7812 0.5000 0.0000  1 Mg 1.91
19 O 0.5000 0.7812 0.0000  1 Mg 1.91
20 O 0.2429 0.0000 0.0000  5 Mg 2.10-2.25, 1 Ni 2.12
21 O 0.7517 0.2483 0.5000  6 Mg 2.17-2.25
22 O 0.5000 0.2188 0.0000  1 Mg 1.91
23 O 0.5000 0.5000 0.5000  2 Ba 2.25, 4 Mg 2.32
24 O 0.2483 0.7517 0.5000  6 Mg 2.17-2.25
25 O 0.0000 0.7571 0.0000  5 Mg 2.10-2.25, 1 Ni 2.12
26 O 0.5000 0.0000 0.5000  6 Mg 2.05-2.25
27 O 0.0000 0.2429 0.0000  5 Mg 2.10-2.25, 1 Ni 2.12
28 O 0.2483 0.2483 0.5000  6 Mg 2.17-2.25
29 O 0.2188 0.5000 0.0000  1 Mg 1.91
30 O 0.0000 0.0000 0.5000  4 Mg 2.14, 2 Ni 2.25
31 Ni 0.0000 0.0000 0.0000  6 O 2.12-2.25
32 Ba 0.5000 0.5000 0.0000  6 O 2.25-2.46

Calculated values
Energy of formation from the pure elements (eV/atom): -2.737
MP2020-corrected energy (eV/atom): -6.152
Raw total energy (eV for the cell shown): -183.32
Magnetization (μB per atom): 0.06



Entry from the Materials Project database: crystalline Li9Mn2Co5O16 at its relaxed geometry (GGA+U).

a b c (Å): 5.9138 6.4503 8.6023
angles (deg): 83.08 109.54 114.05
Closest atoms and distances in Å follow each position.
Fractional positions:
1 O 0.1117 0.7578 0.9884  1 Co 1.92, 1 Mn 1.93, 3 Li 2.07-2.12
2 O 0.6070 0.2609 0.4891  1 Co 1.93, 1 Mn 1.95, 3 Li 2.12-2.15
3 O 0.8920 0.2400 0.0181  1 Co 1.87, 1 Mn 1.96
4 O 0.6593 0.7737 0.9899  1 Mn 1.94, 1 Co 1.95, 3 Li 2.04-2.09
5 O 0.1417 0.0209 0.2411  2 Mn 1.98-1.99, 1 Co 2.00, 2 Li 2.12-2.15
6 O 0.3836 0.9821 0.7501  2 Co 1.87-2.07, 2 Li 1.99-2.01
7 O 0.1065 0.2644 0.4826  2 Co 1.90-1.91
8 O 0.6175 0.0145 0.2527  1 Mn 1.89, 4 Li 2.02-2.07, 1 Co 2.09
9 O 0.3856 0.4904 0.2625  1 Co 1.93, 1 Mn 1.97, 3 Li 2.06-2.15
10 O 0.1125 0.5105 0.7386  2 Co 1.93, 1 Li 2.11
11 O 0.3549 0.2345 0.0141  2 Mn 1.91-1.99, 3 Li 2.06-2.11
12 O 0.6130 0.5152 0.7369  2 Co 1.92-1.93, 3 Li 2.10-2.15
13 O 0.8435 0.4687 0.2570  1 Mn 1.95, 2 Co 1.98-1.99, 2 Li 2.14-2.17
14 O 0.8891 0.7364 0.5111  2 Co 1.90-1.95
15 O 0.3799 0.7331 0.5091  3 Co 1.91-2.13, 2 Li 2.12
16 O 0.9010 0.9979 0.7628  1 Mn 1.90, 1 Co 1.95, 2 Li 2.09-2.12
17 Co 0.5023 0.7534 0.7508  4 O 1.87-1.96
18 Co 0.0153 0.7572 0.7518  5 O 1.92-2.07
19 Co 0.9967 0.4991 0.5009  4 O 1.90-1.99
20 Co 0.9878 0.2432 0.2483  4 O 1.87-2.00
21 Co 0.4989 0.5019 0.5005  4 O 1.91-1.93
22 Mn 0.0019 0.9991 0.9974  6 O 1.90-1.99
23 Mn 0.4966 0.2452 0.2490  6 O 1.89-1.99
24 Li 0.2664 0.7531 0.2484  5 O 2.06-2.12
25 Li 0.7532 0.5003 0.9947  5 O 2.05-2.14
26 Li 0.2450 0.5034 0.9984  5 O 2.06-2.15
27 Li 0.2590 0.2461 0.7544  6 O 2.09-2.21
28 Li 0.4998 0.9979 0.9981  6 O 2.01-2.17
29 Li 0.7355 0.7549 0.2459  5 O 2.07-2.17
30 Li 0.7486 0.9983 0.5014  6 O 2.02-2.17
31 Li 0.2521 0.9970 0.5051  6 O 1.99-2.18
32 Li 0.7420 0.2489 0.7508  6 O 2.12-2.18

Calculated values
Polymorph energy (0 for the lowest one) (eV per atom): 0.025
Energy of formation from the pure elements (eV/atom): -1.839
MP2020-corrected energy (eV/atom): -6.534
Raw total energy (eV for the cell shown): -186.56
Magnetization (μB per atom): 0.38



- Among the records above, which one has the lowest raw total energy?
  Er3Fe5O12